[1]
DFT (r2SCAN) results for CdF2 after structural relaxation.

Its magnetic moment is 0.000 μB per atom. Its formation energy is -2.458 eV per atom.

It has space group Fm-3m (No. 225), with a = 5.4010 Å, b = 5.4010 Å, c = 5.4010 Å, α = 90.00°, β = 90.00° and γ = 90.00°. The inequivalent atoms are Cd at (0.0000, 0.0000, 0.0000) and F at (0.2500, 0.2500, 0.2500).

***

[2]
DFT (r2SCAN) results for CdF2 after structural relaxation.

Its magnetic moment is 0.000 μB per atom. Its formation energy is -2.428 eV per atom.

It has space group Pnma (No. 62), with a = 5.8446 Å, b = 3.5602 Å, c = 6.9500 Å, α = 90.00°, β = 90.00° and γ = 90.00°. The inequivalent atoms are Cd at (0.2467, 0.2500, 0.1091), F at (0.0157, 0.2500, 0.8364) and F at (0.1417, 0.2500, 0.4220).

***

[3]
DFT (r2SCAN) results for KCdF3 after structural relaxation.

Its magnetic moment is 0.000 μB per atom. Its formation energy is -2.676 eV per atom.

It has space group Pnma (No. 62), with a = 6.1811 Å, b = 8.6414 Å, c = 6.0821 Å, α = 90.00°, β = 90.00° and γ = 90.00°. The inequivalent atoms are K at (0.0435, 0.2500, 0.0100), Cd at (0.0000, 0.0000, 0.5000), F at (0.0268, 0.7500, 0.4184) and F at (0.2071, 0.5428, 0.7946).